Entry 1:
# Ti9Se2, relaxed, DFT meta-GGA r2SCAN
# * space group: Pbam, No. 55
data_Ti9Se2
_symmetry_space_group_name_H-M 'P 1'
_symmetry_Int_Tables_number 1
_symmetry_space_group_name_Hall 'P 1'
_cell_length_a 6.8006
_cell_length_b 15.4046
_cell_length_c 3.4798
_cell_angle_alpha 90.00
_cell_angle_beta 90.00
_cell_angle_gamma 90.00
loop_
_atom_site_label
_atom_site_type_symbol
_atom_site_fract_x
_atom_site_fract_y
_atom_site_fract_z
_atom_site_occupancy
Ti1 Ti 0.0000 0.0000 0.0000 1
Ti2 Ti 0.0964 0.1394 0.5000 1
Ti3 Ti 0.1096 0.5767 0.0000 1
Ti4 Ti 0.2195 0.7909 0.0000 1
Ti5 Ti 0.2225 0.4439 0.5000 1
Ti6 Ti 0.2775 0.9439 0.5000 1
Ti7 Ti 0.2805 0.2909 0.0000 1
Ti8 Ti 0.3904 0.0767 0.0000 1
Ti9 Ti 0.4036 0.6394 0.5000 1
Ti10 Ti 0.5000 0.5000 0.0000 1
Ti11 Ti 0.5964 0.3606 0.5000 1
Ti12 Ti 0.6096 0.9233 0.0000 1
Ti13 Ti 0.7195 0.7091 0.0000 1
Ti14 Ti 0.7225 0.0561 0.5000 1
Ti15 Ti 0.7775 0.5561 0.5000 1
Ti16 Ti 0.7805 0.2091 0.0000 1
Ti17 Ti 0.8904 0.4233 0.0000 1
Ti18 Ti 0.9036 0.8606 0.5000 1
Se1 Se 0.0181 0.6968 0.5000 1
Se2 Se 0.4819 0.1968 0.5000 1
Se3 Se 0.5181 0.8032 0.5000 1
Se4 Se 0.9819 0.3032 0.5000 1

=====

Entry 2:
# Zn3Sb, relaxed, DFT meta-GGA r2SCAN
# * space group: I4/mmm, No. 139
data_Zn3Sb
_symmetry_space_group_name_H-M 'P 1'
_symmetry_Int_Tables_number 1
_symmetry_space_group_name_Hall 'P 1'
_cell_length_a 5.1796
_cell_length_b 5.1796
_cell_length_c 5.1796
_cell_angle_alpha 132.83
_cell_angle_beta 132.83
_cell_angle_gamma 68.92
loop_
_atom_site_label
_atom_site_type_symbol
_atom_site_fract_x
_atom_site_fract_y
_atom_site_fract_z
_atom_site_occupancy
Zn1 Zn 0.0000 0.0000 0.0000 1
Zn2 Zn 0.2500 0.7500 0.5000 1
Zn3 Zn 0.7500 0.2500 0.5000 1
Sb1 Sb 0.5000 0.5000 0.0000 1

=====

Calculated electronic total energy (eV/cell), listed in the same order as above: -300.99 -51.48